<i>
A plane-wave DFT calculation with GGA-PBE was carried out for an optimized crystal structure of Fe2S.

Summary:
For the calculated volume, the calculation gives 12.386 Å³/atom.

abc: 5.1139 5.1139 17.8448
angles: 96.58 96.58 34.15
Last column: nearest neighbours and their distance in Å.
Positions (direct):
Fe 0.0000 0.0000 0.0000  3 S 2.19-2.20
Fe 0.9997 0.9997 0.3876  3 S 2.18-2.20
Fe 0.1261 0.1261 0.6960  3 S 2.18-2.23, 1 Fe 2.41
Fe 0.1474 0.1474 0.2856  3 S 2.21-2.26, 1 Fe 2.46
Fe 0.2656 0.2656 0.9686  3 S 2.21-2.22
Fe 0.2703 0.2703 0.5952  2 S 2.14-2.18
Fe 0.4145 0.4145 0.8585  3 S 2.18-2.19
Fe 0.4306 0.4306 0.2587  3 S 2.28-2.31
Fe 0.4420 0.4420 0.5016  4 S 2.21-2.42
Fe 0.5666 0.5666 0.1413  3 S 2.26-2.27
Fe 0.6931 0.6931 0.8278  3 S 2.24-2.32
Fe 0.7304 0.7304 0.4342  4 S 2.21-2.35
Fe 0.8404 0.8404 0.7035  1 S 2.22, 2 Fe 2.48
Fe 0.8551 0.8551 0.1175  3 S 2.25
S 0.0152 0.0152 0.7949  6 Fe 2.18-2.32
S 0.1084 0.1084 0.5030  6 Fe 2.14-2.35
S 0.1893 0.1893 0.0807  6 Fe 2.20-2.27
S 0.3372 0.3372 0.3716  7 Fe 2.18-2.42
S 0.4912 0.4912 0.6316  4 Fe 2.18-2.31
S 0.6026 0.6026 0.9374  6 Fe 2.18-2.24
S 0.7586 0.7586 0.2255  6 Fe 2.21-2.28



<ii>
A plane-wave DFT calculation with GGA-PBE was carried out for an optimized crystal structure of Fe2S.

Summary:
For the calculated volume, the calculation gives 12.437 Å³/atom.

abc: 4.6331 4.6331 19.5225
angles: 90.23 90.23 38.55
Last column: nearest neighbours and their distance in Å.
Positions (direct):
Fe 0.0000 0.0000 0.0000  3 S 2.23-2.29, 2 Fe 2.44
Fe 0.0027 0.0027 0.4506  3 S 2.32-2.47, 6 Fe 2.44-2.57
Fe 0.1383 0.1383 0.1140  2 S 2.23-2.28
Fe 0.1663 0.1663 0.7226  3 S 2.25, 2 Fe 2.41
Fe 0.2876 0.2876 0.4372  3 S 2.16-2.20
Fe 0.2959 0.2959 0.2338  2 S 2.30, 4 Fe 2.51-2.54
Fe 0.3150 0.3150 0.8344  3 S 2.15-2.21
Fe 0.4440 0.4440 0.5522  3 S 2.24-2.34
Fe 0.5801 0.5801 0.9025  2 S 2.26-2.28, 1 Fe 2.52
Fe 0.5848 0.5848 0.2706  4 S 2.21-2.22
Fe 0.7149 0.7149 0.0167  3 S 2.30-2.32, 6 Fe 2.44-2.53
Fe 0.7414 0.7414 0.6176  2 S 2.25-2.37, 1 Fe 2.52
Fe 0.8730 0.8730 0.3319  3 S 2.34-2.59, 3 Fe 2.54-2.57
Fe 0.8782 0.8782 0.7312  3 S 2.28-2.37, 4 Fe 2.41-2.53
S 0.0104 0.0104 0.6306  5 Fe 2.24-2.37
S 0.1377 0.1377 0.3487  5 Fe 2.16-2.34
S 0.3766 0.3766 0.0675  5 Fe 2.28-2.30
S 0.5446 0.5446 0.7870  6 Fe 2.21-2.37
S 0.6894 0.6894 0.5047  4 Fe 2.20-2.34
S 0.8376 0.8376 0.9115  5 Fe 2.15-2.32
S 0.9799 0.9799 0.2031  5 Fe 2.22-2.30



Preferred: <ii>; penalty for the next structure: 29 meV per atom.



<i>
A plane-wave DFT calculation with GGA-PBE was carried out for an optimized crystal structure of Fe7S8.

Summary:
For the calculated volume, the calculation gives 12.979 Å³/atom.

abc: 6.5821 6.5821 15.5669
angles: 90.00 90.00 120.00
Last column: nearest neighbours and their distance in Å.
Positions (direct):
Fe 0.0000 0.0188 0.1667  6 S 2.24-2.49
Fe 0.0000 0.0835 0.6667  6 S 2.18-2.37
Fe 0.0000 0.4391 0.1667  6 S 2.20-2.41
Fe 0.0148 0.5897 0.8132  5 S 2.10-2.31
Fe 0.0188 0.0000 0.8333  6 S 2.24-2.49
Fe 0.0518 0.5352 0.3482  6 S 2.19-2.40
Fe 0.0835 0.0000 0.3333  6 S 2.18-2.37
Fe 0.4103 0.4251 0.1465  5 S 2.10-2.31
Fe 0.4251 0.4103 0.8535  5 S 2.10-2.31
Fe 0.4391 0.0000 0.8333  6 S 2.20-2.41
Fe 0.4648 0.5167 0.6815  6 S 2.19-2.40
Fe 0.4833 0.9482 0.0148  6 S 2.19-2.40
Fe 0.5167 0.4648 0.3185  6 S 2.19-2.40
Fe 0.5352 0.0518 0.6518  6 S 2.19-2.40
Fe 0.5609 0.5609 0.5000  6 S 2.20-2.41
Fe 0.5749 0.9852 0.4798  5 S 2.10-2.31
Fe 0.5897 0.0148 0.1868  5 S 2.10-2.31
Fe 0.9165 0.9165 0.0000  6 S 2.18-2.37
Fe 0.9482 0.4833 0.9852  6 S 2.19-2.40
Fe 0.9812 0.9812 0.5000  6 S 2.24-2.49
Fe 0.9852 0.5749 0.5202  5 S 2.10-2.31
S 0.1188 0.2926 0.0640  3 Fe 2.10-2.24
S 0.1345 0.7885 0.0808  5 Fe 2.24-2.49
S 0.1482 0.3644 0.7615  5 Fe 2.18-2.38
S 0.1738 0.8812 0.7306  3 Fe 2.10-2.24
S 0.2115 0.3460 0.4141  5 Fe 2.24-2.49
S 0.2162 0.8518 0.4282  5 Fe 2.18-2.38
S 0.2926 0.1188 0.9360  3 Fe 2.10-2.24
S 0.2981 0.6485 0.9129  5 Fe 2.29-2.37
S 0.3460 0.2115 0.5859  5 Fe 2.24-2.49
S 0.3504 0.7019 0.5796  5 Fe 2.29-2.37
S 0.3515 0.6496 0.2462  5 Fe 2.29-2.37
S 0.3644 0.1482 0.2385  5 Fe 2.18-2.38
S 0.6356 0.7838 0.0948  5 Fe 2.18-2.38
S 0.6485 0.2981 0.0871  5 Fe 2.29-2.37
S 0.6496 0.3515 0.7538  5 Fe 2.29-2.37
S 0.6540 0.8655 0.7474  5 Fe 2.24-2.49
S 0.7019 0.3504 0.4204  5 Fe 2.29-2.37
S 0.7074 0.8262 0.3973  3 Fe 2.10-2.24
S 0.7838 0.6356 0.9052  5 Fe 2.18-2.38
S 0.7885 0.1345 0.9192  5 Fe 2.24-2.49
S 0.8262 0.7074 0.6027  3 Fe 2.10-2.24
S 0.8518 0.2162 0.5718  5 Fe 2.18-2.38
S 0.8655 0.6540 0.2526  5 Fe 2.24-2.49
S 0.8812 0.1738 0.2694  3 Fe 2.10-2.24



<ii>
A plane-wave DFT calculation with GGA-PBE was carried out for an optimized crystal structure of Fe7S8.

Summary:
For the calculated volume, the calculation gives 13.201 Å³/atom.

abc: 5.7183 6.2497 11.1763
angles: 82.52 89.89 89.92
Last column: nearest neighbours and their distance in Å.
Positions (direct):
Fe 0.0000 0.0000 0.0000  5 S 2.18-2.31
Fe 0.0063 0.2463 0.2611  4 S 2.19-2.34
Fe 0.0284 0.1078 0.6370  4 S 2.17-2.41
Fe 0.4528 0.1118 0.1371  5 S 2.18-2.43
Fe 0.4689 0.2472 0.7590  4 S 2.20-2.35
Fe 0.4746 0.0043 0.5024  5 S 2.17-2.30
Fe 0.4904 0.8464 0.8661  6 S 2.22-2.33
Fe 0.4972 0.6923 0.2345  5 S 2.19-2.32
Fe 0.5059 0.4420 0.9707  4 S 2.19-2.33
Fe 0.5265 0.5820 0.5946  4 S 2.16-2.40
Fe 0.9518 0.5793 0.0950  4 S 2.17-2.40
Fe 0.9656 0.4388 0.4735  4 S 2.18-2.34
Fe 0.9792 0.6896 0.7323  5 S 2.18-2.31
Fe 0.9889 0.8432 0.3672  6 S 2.22-2.32
S 0.1499 0.5600 0.2904  5 Fe 2.19-2.45
S 0.1527 0.2971 0.0477  4 Fe 2.18-2.33
S 0.1633 0.0289 0.8189  4 Fe 2.17-2.26
S 0.1666 0.7753 0.5546  5 Fe 2.26-2.51
S 0.3123 0.7723 0.0547  4 Fe 2.27-2.40
S 0.3168 0.0266 0.3195  4 Fe 2.18-2.29
S 0.3240 0.3019 0.5475  4 Fe 2.17-2.33
S 0.3273 0.5625 0.7890  5 Fe 2.20-2.44
S 0.6507 0.1278 0.9436  5 Fe 2.19-2.43
S 0.6527 0.3946 0.1855  4 Fe 2.19-2.34
S 0.6642 0.6576 0.4135  4 Fe 2.16-2.25
S 0.6656 0.9161 0.6787  5 Fe 2.26-2.53
S 0.8140 0.9161 0.1787  4 Fe 2.26-2.41
S 0.8149 0.6587 0.9134  4 Fe 2.17-2.27
S 0.8264 0.1262 0.4440  4 Fe 2.18-2.32
S 0.8264 0.3922 0.6843  4 Fe 2.18-2.34



Preferred: <i>; penalty for the next structure: 37 meV per atom.



<i>
A plane-wave DFT calculation with GGA-PBE was carried out for an optimized crystal structure of Fe7S8.

Summary:
For the calculated volume, the calculation gives 12.994 Å³/atom.

abc: 6.5346 6.5346 11.5293
angles: 111.86 111.86 61.46
Last column: nearest neighbours and their distance in Å.
Positions (direct):
Fe 0.0017 0.2096 0.4992  5 S 2.19-2.43
Fe 0.1719 0.3803 0.7704  6 S 2.18-2.38
Fe 0.1979 0.8021 0.7500  6 S 2.16-2.39
Fe 0.2096 0.0017 0.9992  5 S 2.19-2.43
Fe 0.2177 0.6036 0.0300  5 S 2.10-2.29
Fe 0.3802 0.1719 0.2704  6 S 2.18-2.38
Fe 0.3964 0.7823 0.4700  5 S 2.10-2.29
Fe 0.6036 0.2177 0.5300  5 S 2.10-2.29
Fe 0.6198 0.8281 0.7296  6 S 2.18-2.38
Fe 0.7823 0.3964 0.9700  5 S 2.10-2.29
Fe 0.7904 0.9983 0.0008  5 S 2.19-2.43
Fe 0.8021 0.1979 0.2500  6 S 2.16-2.39
Fe 0.8281 0.6198 0.2296  6 S 2.18-2.38
Fe 0.9983 0.7904 0.5008  5 S 2.19-2.43
S 0.0512 0.8643 0.3462  3 Fe 2.10-2.25
S 0.0777 0.3764 0.3707  5 Fe 2.25-2.46
S 0.1267 0.4039 0.1176  5 Fe 2.27-2.36
S 0.1357 0.9488 0.1538  3 Fe 2.10-2.25
S 0.3764 0.0777 0.8707  5 Fe 2.25-2.46
S 0.3916 0.5856 0.8900  5 Fe 2.16-2.42
S 0.4039 0.1267 0.6176  5 Fe 2.27-2.36
S 0.4144 0.6084 0.6100  5 Fe 2.16-2.42
S 0.5856 0.3916 0.3900  5 Fe 2.16-2.42
S 0.5961 0.8733 0.3824  5 Fe 2.27-2.36
S 0.6084 0.4144 0.1100  5 Fe 2.16-2.42
S 0.6236 0.9223 0.1293  5 Fe 2.25-2.46
S 0.8643 0.0512 0.8462  3 Fe 2.10-2.25
S 0.8733 0.5961 0.8824  5 Fe 2.27-2.36
S 0.9223 0.6236 0.6293  5 Fe 2.25-2.46
S 0.9488 0.1357 0.6538  3 Fe 2.10-2.25



<ii>
A plane-wave DFT calculation with GGA-PBE was carried out for an optimized crystal structure of Fe7S8.

Summary:
For the calculated volume, the calculation gives 13.058 Å³/atom.

abc: 5.7398 6.1505 11.1720
angles: 96.65 90.03 90.01
Last column: nearest neighbours and their distance in Å.
Positions (direct):
Fe 0.0000 0.0000 0.0000  6 S 2.24-2.32
Fe 0.0023 0.8480 0.6273  5 S 2.18-2.36
Fe 0.0161 0.6025 0.8932  4 S 2.17-2.36
Fe 0.0265 0.7399 0.2676  6 S 2.19-2.44
Fe 0.4751 0.7402 0.7675  6 S 2.19-2.44
Fe 0.4821 0.6017 0.3919  4 S 2.17-2.35
Fe 0.4964 0.8487 0.1278  5 S 2.18-2.35
Fe 0.4995 0.9996 0.5003  6 S 2.24-2.32
Fe 0.5020 0.1508 0.8730  5 S 2.18-2.36
Fe 0.5168 0.3975 0.6082  4 S 2.16-2.34
Fe 0.5259 0.2591 0.2323  6 S 2.19-2.44
Fe 0.9740 0.2580 0.7325  6 S 2.19-2.44
Fe 0.9829 0.3969 0.1078  4 S 2.18-2.35
Fe 0.9976 0.1505 0.3733  5 S 2.18-2.36
S 0.1628 0.2887 0.9258  5 Fe 2.17-2.40
S 0.1672 0.5538 0.6844  4 Fe 2.20-2.34
S 0.1687 0.8193 0.4492  4 Fe 2.19-2.29
S 0.1722 0.0678 0.1887  6 Fe 2.30-2.55
S 0.3278 0.0682 0.6886  6 Fe 2.29-2.55
S 0.3301 0.8179 0.9488  4 Fe 2.19-2.28
S 0.3343 0.5534 0.1842  5 Fe 2.20-2.46
S 0.3377 0.2888 0.4263  5 Fe 2.17-2.41
S 0.6619 0.7092 0.5747  5 Fe 2.16-2.39
S 0.6644 0.4451 0.8148  5 Fe 2.20-2.44
S 0.6690 0.1797 0.0512  4 Fe 2.19-2.29
S 0.6719 0.9323 0.3117  6 Fe 2.29-2.56
S 0.8268 0.9313 0.8117  6 Fe 2.30-2.55
S 0.8296 0.1810 0.5516  4 Fe 2.19-2.28
S 0.8333 0.4451 0.3163  4 Fe 2.20-2.35
S 0.8363 0.7108 0.0742  5 Fe 2.18-2.41



Preferred: <i>; penalty for the next structure: 40 meV per atom.